A plane-wave DFT calculation with meta-GGA r2SCAN was carried out for a relaxed structure of Pr3OsBr3.

Summary:
- volume (A^3/atom) = 31.6
- formation energy (eV per atom) = -1.396
- crystal system = cubic

The structure in CIF format:
```
data_Pr3OsBr3
_chemical_formula_sum 'Pr24 Os8 Br24'
_symmetry_space_group_name_H-M 'I 41 3 2'
_symmetry_Int_Tables_number 214
_symmetry_space_group_name_Hall 'I 4bd 2c 3'
_cell_length_a 12.097
_cell_length_b 12.097
_cell_length_c 12.097
_cell_angle_alpha 90.00
_cell_angle_beta 90.00
_cell_angle_gamma 90.00
loop_
_atom_site_label
_atom_site_type_symbol
_atom_site_fract_x
_atom_site_fract_y
_atom_site_fract_z
_atom_site_occupancy
Pr1 Pr 0.110 0.360 0.125 1
Os1 Os 0.125 0.125 0.125 1
Br1 Br 0.119 0.131 0.625 1
```